DFT (PBE-GGA) results for a relaxed Bi2O3 crystal.

Uncorrected energy: -5.702 eV/atom
Space group: Ia-3

Structure (POSCAR):
```
Bi2O3
1.0
-5.602 5.602 5.602
5.602 -5.602 5.602
5.602 5.602 -5.602
Bi O
16 24
direct
0.000 0.000 0.000 Bi
0.000 0.500 0.500 Bi
0.028 0.778 0.250 Bi
0.222 0.750 0.972 Bi
0.250 0.028 0.778 Bi
0.250 0.528 0.278 Bi
0.278 0.250 0.528 Bi
0.472 0.722 0.750 Bi
0.500 0.000 0.500 Bi
0.500 0.500 0.000 Bi
0.528 0.278 0.250 Bi
0.722 0.750 0.472 Bi
0.750 0.472 0.722 Bi
0.750 0.972 0.222 Bi
0.778 0.250 0.028 Bi
0.972 0.222 0.750 Bi
0.018 0.468 0.742 O
0.032 0.051 0.274 O
0.051 0.274 0.032 O
0.224 0.449 0.482 O
0.226 0.276 0.758 O
0.242 0.774 0.724 O
0.258 0.982 0.532 O
0.274 0.032 0.051 O
0.276 0.758 0.226 O
0.449 0.482 0.224 O
0.468 0.742 0.018 O
0.482 0.224 0.449 O
0.518 0.776 0.551 O
0.532 0.258 0.982 O
0.551 0.518 0.776 O
0.724 0.242 0.774 O
0.726 0.968 0.949 O
0.742 0.018 0.468 O
0.758 0.226 0.276 O
0.774 0.724 0.242 O
0.776 0.551 0.518 O
0.949 0.726 0.968 O
0.968 0.949 0.726 O
0.982 0.532 0.258 O
```